(1)
A plane-wave DFT calculation with PBE-GGA was carried out for crystalline PuMo6Se8 at its relaxed geometry.

Structure (POSCAR):
```
PuMo6Se8
1.0
4.801 2.772 4.008
-4.801 2.772 4.008
0.000 -5.544 4.008
Pu Mo Se
1 6 8
Cartesian
0.000 0.000 0.000
-1.555 -0.136 4.885
0.895 -1.279 4.885
-0.660 -1.415 7.139
0.660 1.415 4.885
-0.895 1.279 7.139
1.555 0.136 7.139
-1.213 -2.790 5.004
0.000 0.000 2.880
-3.023 -0.344 7.019
-1.810 2.446 5.004
1.810 -2.446 7.019
3.023 0.344 5.004
0.000 0.000 9.143
1.213 2.790 7.019
```

Properties
- symmetry = R-3
- ΔH_f (0 K) (eV per formula unit) = -13.62
- E_tot (eV per cell) = -117.16



(2)
A plane-wave DFT calculation with PBE-GGA was carried out for crystalline Mg6VCd at its relaxed geometry.

Structure (POSCAR):
```
Mg6VCd
1.0
-4.620 1.748 -0.803
-1.154 -0.234 6.125
3.664 10.178 1.079
Mg V Cd
12 2 2
Cartesian
0.644 3.273 3.422
0.037 0.821 1.574
3.052 8.479 0.899
2.456 8.308 3.956
1.201 3.336 0.354
0.187 10.031 5.165
-1.068 5.059 1.563
-0.559 0.700 4.737
0.757 10.147 2.135
-1.651 4.941 4.659
1.292 5.793 5.176
1.850 5.906 2.214
-0.443 7.548 3.381
-1.698 2.576 -0.221
-2.280 2.444 2.840
0.129 7.650 0.317
```

Properties
- ΔH_f (0 K) (eV per formula unit) = 0.96
- E_tot (eV per cell) = -37.29
- E above lowest polymorph (meV/atom) = 0



(3)
A plane-wave DFT calculation with PBE-GGA was carried out for crystalline Ca3Al7Cu2 at its relaxed geometry.

Structure (POSCAR):
```
Ca3Al7Cu2
1.0
2.790 1.611 8.599
-2.790 1.611 8.599
0.000 -3.221 8.599
Ca Al Cu
3 7 2
Cartesian
0.000 0.000 0.000
0.000 0.000 3.688
0.000 0.000 22.110
-1.413 -0.816 10.595
0.000 -1.631 15.203
-1.413 0.816 15.203
0.000 0.000 12.899
1.413 -0.816 10.595
0.000 1.631 10.595
1.413 0.816 15.203
0.000 0.000 8.643
0.000 0.000 17.156
```

Properties
- symmetry = R-3m
- ΔH_f (0 K) (eV per formula unit) = -3.97
- E_tot (eV per cell) = -44.40



(4)
A plane-wave DFT calculation with PBE-GGA was carried out for crystalline Er5Al3Ni3Ge4 at its relaxed geometry.

Structure (POSCAR):
```
Er5Al3Ni3Ge4
1.0
4.158 0.000 0.000
0.000 19.065 0.000
0.000 0.000 6.841
Er Al Ni Ge
10 6 6 8
Cartesian
1.040 1.361 0.002
1.040 2.279 3.396
1.040 4.766 0.787
1.040 7.254 3.396
1.040 8.171 0.002
3.119 10.894 6.839
3.119 11.812 3.445
3.119 14.299 6.053
3.119 16.786 3.445
3.119 17.704 6.839
1.040 12.935 1.260
1.040 14.299 3.613
1.040 15.663 1.260
3.119 3.402 5.581
3.119 4.766 3.228
3.119 6.131 5.581
1.040 4.766 4.831
1.040 10.025 4.555
1.040 18.573 4.555
3.119 0.492 2.285
3.119 9.040 2.285
3.119 14.299 2.010
1.040 10.272 2.029
1.040 12.319 5.402
1.040 16.279 5.402
1.040 18.326 2.029
3.119 0.739 4.811
3.119 2.786 1.439
3.119 6.747 1.439
3.119 8.793 4.811
```

Properties
- symmetry = Pmmn
- ΔH_f (0 K) (eV per formula unit) = -11.76
- E_tot (eV per cell) = -163.33



(5)
A plane-wave DFT calculation with PBE-GGA was carried out for crystalline RbFe2Te3 at its relaxed geometry.

Structure (POSCAR):
```
RbFe2Te3
1.0
5.129 -6.697 0.000
5.129 6.697 0.000
0.000 0.000 5.614
Rb Fe Te
2 4 6
Cartesian
5.129 4.658 4.211
5.129 -4.658 1.404
3.858 0.000 0.000
3.858 0.000 2.807
6.401 0.000 0.000
6.401 0.000 2.807
2.475 1.632 4.211
2.475 -1.632 1.404
5.129 1.791 1.404
5.129 -1.791 4.211
7.783 1.632 4.211
7.783 -1.632 1.404
```

Properties
- symmetry = Cmcm
- ΔH_f (0 K) (eV per formula unit) = -2.96
- E_tot (eV per cell) = -58.08



(6)
A plane-wave DFT calculation with PBE-GGA was carried out for crystalline Ho3Te3N at its relaxed geometry.

Structure (POSCAR):
```
Ho3Te3N
1.0
8.093 0.000 0.000
0.000 11.951 0.000
-2.810 0.000 8.187
Ho Te N
12 12 4
Cartesian
-0.194 0.271 2.973
-1.599 5.704 7.066
1.719 8.480 1.259
0.314 9.446 5.353
0.513 1.048 6.509
1.918 4.927 2.415
3.365 7.024 5.771
4.770 10.903 1.678
4.970 2.505 2.834
3.564 3.471 6.927
6.882 6.247 1.120
5.477 11.680 5.214
-1.860 2.797 5.626
-0.455 3.178 1.533
0.584 6.214 4.796
1.989 11.712 0.702
2.227 2.287 4.236
3.632 3.688 0.143
1.651 8.262 8.044
3.056 9.664 3.951
3.294 0.239 7.484
4.699 5.737 3.391
5.738 8.773 6.654
7.144 9.154 2.561
1.053 6.393 1.014
-0.352 11.534 5.107
5.635 0.417 3.080
4.230 5.558 7.173
```

Properties
- symmetry = P2_1/c
- ΔH_f (0 K) (eV per formula unit) = -10.87
- E_tot (eV per cell) = -168.08



(7)
A plane-wave DFT calculation with PBE-GGA was carried out for crystalline ErNbRu2 at its relaxed geometry.

Structure (POSCAR):
```
ErNbRu2
1.0
0.000 3.267 3.267
3.267 0.000 3.267
3.267 3.267 0.000
Er Nb Ru
1 1 2
Cartesian
0.000 0.000 0.000
3.267 3.267 3.267
1.633 1.633 1.633
4.900 4.900 4.900
```

Properties
- symmetry = Fm-3m
- ΔH_f (0 K) (eV per formula unit) = -1.42
- E_tot (eV per cell) = -34.64